--- P ---
Material: Li4Fe2P3O12
Method: DFT, PBE+U
State: relaxed

POSCAR file:
```
Li4Fe2P3O12
1.0
8.444 0.000 0.000
4.127 7.385 0.000
4.216 2.454 7.522
P Li O Fe
6 8 24 4
Cartesian
5.437 5.196 5.709 P
6.726 2.527 1.876 P
11.349 4.643 1.813 P
10.061 7.311 5.646 P
7.141 7.605 1.848 P
9.646 2.234 5.674 P
12.012 3.840 7.230 Li
9.708 2.538 2.433 Li
5.852 5.016 2.674 Li
4.775 5.999 0.292 Li
6.936 2.673 5.106 Li
10.935 4.822 4.848 Li
7.078 7.301 5.089 Li
9.851 7.166 2.416 Li
8.774 8.195 5.666 O
9.705 5.838 6.002 O
11.469 6.186 1.837 O
12.763 5.673 6.692 O
5.189 5.831 4.320 O
9.303 1.776 4.236 O
5.754 6.863 1.837 O
9.912 4.218 1.405 O
13.894 8.369 6.582 O
5.802 1.851 0.823 O
8.013 1.644 1.856 O
5.317 3.653 5.685 O
7.484 8.063 3.286 O
10.985 7.988 6.699 O
4.023 4.166 0.830 O
6.875 5.620 6.117 O
11.597 4.007 3.202 O
6.072 2.579 3.263 O
8.529 3.233 6.098 O
2.893 1.470 0.940 O
11.033 2.976 5.685 O
7.081 4.000 1.520 O
8.258 6.605 1.424 O
10.715 7.259 4.259 O
4.178 2.428 4.278 Fe
8.390 4.889 7.269 Fe
12.608 7.411 3.244 Fe
8.397 4.950 0.253 Fe
```

Summary:
- Calculated volume: 469.0 Å³ per cell

=====

--- Q ---
Material: Li4Fe2P3O12
Method: DFT, PBE+U
State: relaxed

POSCAR file:
```
Li4Fe2P3O12
1.0
-4.752 -7.376 -0.645
-0.508 -0.453 8.938
-10.267 6.636 -0.247
Li P O Fe
16 12 48 8
Cartesian
-6.158 -2.764 8.041 Li
-9.370 1.571 0.005 Li
-5.147 -3.027 3.591 Li
-10.955 -1.418 5.625 Li
-12.137 -0.263 1.121 Li
-12.705 -1.808 3.222 Li
-10.063 3.156 6.752 Li
-7.155 -3.648 5.728 Li
-4.572 0.224 2.421 Li
-5.464 -4.349 1.293 Li
-2.823 0.615 4.823 Li
-3.325 1.331 0.336 Li
-12.202 -2.524 7.710 Li
-8.373 2.454 2.318 Li
-10.381 1.834 4.455 Li
-3.391 -0.931 6.925 Li
-5.762 -0.881 5.063 P
-9.766 -0.312 2.983 P
-8.031 -4.475 2.871 P
-9.179 -2.644 7.862 P
-9.258 4.811 0.658 P
-3.492 -1.957 0.642 P
-7.496 3.281 5.175 P
-6.348 1.450 0.184 P
-12.036 0.764 7.403 P
-1.469 -2.095 4.777 P
-6.270 -6.004 7.388 P
-3.791 -5.735 3.517 P
-9.522 -1.416 6.978 O
-3.107 1.494 2.831 O
-7.462 -1.930 -0.140 O
-12.363 -0.656 6.848 O
-9.976 -2.537 -0.314 O
-5.157 -6.959 6.989 O
-13.102 1.761 6.979 O
-4.976 -5.814 2.519 O
-4.621 0.013 5.637 O
-10.635 1.263 6.886 O
-1.663 -0.779 3.978 O
-5.660 -2.352 5.616 O
-6.796 2.585 1.142 O
-4.082 -4.506 4.416 O
-12.420 -2.688 5.215 O
-4.167 -2.304 8.034 O
-11.361 1.111 0.011 O
-9.638 3.344 1.026 O
-10.907 -1.206 2.409 O
-9.868 1.158 2.430 O
-9.345 -3.861 2.413 O
-10.551 4.621 5.527 O
-2.848 0.936 7.312 O
-6.838 -3.533 2.522 O
-12.769 1.074 2.425 O
-13.865 -0.414 4.067 O
-10.371 5.766 1.057 O
-2.758 -2.267 5.621 O
-6.103 -5.599 -0.030 O
-8.690 2.340 5.524 O
-8.732 -3.778 6.903 O
-5.890 -4.537 7.020 O
-7.987 -4.772 4.400 O
-12.680 -2.129 0.733 O
-9.984 -0.170 4.520 O
-5.543 -1.024 3.526 O
-11.446 3.313 3.629 O
-3.164 -0.537 1.197 O
-7.122 -0.310 5.429 O
-7.540 3.579 3.646 O
-2.426 -2.954 1.067 O
-8.406 -0.883 2.617 O
-5.552 1.343 8.360 O
-4.892 -2.457 1.160 O
-9.425 4.406 8.076 O
-8.065 0.737 8.186 O
-6.006 0.222 1.067 O
-6.183 2.668 5.633 O
-4.045 -3.680 6.300 Fe
-8.739 0.322 6.287 Fe
-6.788 -1.516 1.759 Fe
-14.110 -1.426 5.842 Fe
-10.858 -3.136 1.445 Fe
-4.669 1.943 6.600 Fe
-1.418 0.232 2.204 Fe
-11.482 2.486 1.746 Fe
```

Summary:
- Calculated volume: 964.3 Å³ per cell

=====

The data favor P; the next most stable structure lies 0.010 eV/atom above it.

=====

--- P ---
Material: Li4FeP2O8
Method: DFT, PBE+U
State: relaxed

POSCAR file:
```
Li4FeP2O8
1.0
-4.182 -8.966 -3.454
-1.693 -2.192 7.740
-7.589 3.015 1.363
Li Fe P O
16 4 8 32
Cartesian
-5.313 -7.260 4.529 Li
-5.168 -3.406 4.369 Li
-6.146 -2.743 0.988 Li
-8.184 -0.234 5.662 Li
-5.281 -7.910 -0.014 Li
-7.952 -7.478 -0.431 Li
-8.152 -0.884 1.120 Li
-8.296 -4.738 1.280 Li
-3.590 -0.741 1.103 Li
-7.319 -5.401 4.661 Li
-9.874 -7.403 4.546 Li
-5.512 -0.666 6.080 Li
-7.503 -3.182 6.606 Li
-5.962 -4.962 -0.958 Li
-5.923 -0.513 3.342 Li
-7.542 -7.631 2.306 Li
-10.632 -4.449 3.539 Fe
-2.833 -3.695 2.109 Fe
-10.564 -5.024 -0.974 Fe
-2.900 -3.119 6.623 Fe
-7.977 -2.671 3.622 P
-3.067 -1.295 4.098 P
-5.810 1.257 0.843 P
-7.655 -9.401 4.805 P
-3.528 -3.003 -0.852 P
-5.487 -5.473 2.027 P
-10.397 -6.848 1.551 P
-9.936 -5.141 6.501 P
-7.105 -3.412 4.673 O
-6.873 -8.768 0.791 O
-8.957 -6.011 5.653 O
-6.139 -9.110 4.567 O
-6.592 0.625 4.858 O
-2.882 -1.728 2.613 O
-7.094 -1.933 2.578 O
-2.492 -3.669 0.114 O
-6.334 -6.852 -1.469 O
-4.596 -4.426 2.766 O
-7.325 0.966 1.082 O
-8.479 -8.556 3.794 O
-8.869 -3.718 2.883 O
-4.409 -4.283 5.921 O
-4.591 -6.508 1.277 O
-6.370 -6.211 3.070 O
-8.912 -6.635 1.120 O
-4.508 -2.132 -0.004 O
-2.082 0.246 0.273 O
-7.130 -1.292 7.118 O
-4.985 0.412 1.855 O
-9.055 -3.861 -0.272 O
-11.383 -8.389 5.376 O
-6.023 -6.228 6.061 O
-10.583 -6.416 3.036 O
-7.441 -1.916 -0.413 O
-2.160 -2.239 4.957 O
-4.552 -1.509 4.528 O
-6.360 -4.732 0.975 O
-11.304 -5.905 0.692 O
-8.874 -1.635 4.372 O
-10.973 -4.475 5.535 O
```

Summary:
- Calculated volume: 691.2 Å³ per cell

=====

--- Q ---
Material: Li4FeP2O8
Method: DFT, PBE+U
State: relaxed

POSCAR file:
```
Li4FeP2O8
1.0
-3.996 0.500 -2.596
2.054 -4.625 -1.981
-2.879 -2.615 4.797
Li P O Fe
4 2 8 1
Cartesian
-3.162 -3.978 -1.541 Li
-4.303 -3.738 1.331 Li
-1.659 -2.762 1.761 Li
-0.519 -3.002 -1.111 Li
-1.973 -5.321 0.878 P
-2.848 -1.419 -0.658 P
-0.989 -4.339 0.224 O
-3.832 -2.401 -0.003 O
-3.429 -2.148 2.884 O
-2.579 -1.916 -2.112 O
-3.329 -5.311 0.084 O
-2.242 -4.824 2.332 O
-1.392 -4.592 -2.664 O
-1.492 -1.429 0.136 O
0.000 0.000 0.000 Fe
```

Summary:
- Calculated volume: 155.8 Å³ per cell

=====

--- R ---
Material: Li4FeP2O8
Method: DFT, PBE+U
State: relaxed

POSCAR file:
```
Li4FeP2O8
1.0
4.615 -0.442 6.080
2.585 10.593 0.286
-5.246 -1.220 6.280
O Li P Fe
32 16 8 4
Cartesian
4.924 3.228 5.666 O
-1.750 1.152 3.118 O
3.751 8.330 5.859 O
4.869 5.517 4.697 O
-1.179 7.941 5.960 O
-2.916 3.413 7.947 O
2.015 3.802 7.848 O
4.020 8.610 3.347 O
3.133 0.989 6.686 O
1.112 0.027 4.605 O
-0.054 2.287 9.434 O
1.692 5.811 9.391 O
0.262 3.119 3.255 O
4.718 5.562 7.756 O
-0.061 5.129 4.798 O
1.275 0.902 1.483 O
-2.764 3.368 4.890 O
-2.971 5.702 6.979 O
-0.006 2.839 5.766 O
2.167 3.757 4.789 O
0.843 8.904 8.042 O
-0.213 5.173 7.856 O
0.678 8.028 11.163 O
1.158 9.736 1.861 O
0.994 8.859 4.982 O
0.960 0.071 7.664 O
2.008 6.643 3.211 O
1.961 6.091 6.879 O
0.796 -0.805 10.785 O
-1.797 0.600 6.787 O
-2.066 0.320 9.298 O
3.704 7.779 9.527 O
2.004 8.635 3.239 Li
1.354 6.644 5.123 Li
4.024 6.618 3.318 Li
2.528 1.542 4.930 Li
0.600 2.288 7.522 Li
-0.907 6.229 3.419 Li
-0.573 7.388 7.715 Li
-2.069 2.312 9.325 Li
4.358 7.778 7.616 Li
0.915 3.118 1.342 Li
2.862 2.702 9.225 Li
1.039 5.813 11.303 Li
-0.050 0.296 9.407 Li
1.689 7.803 9.420 Li
0.266 1.127 3.227 Li
-2.404 1.151 5.030 Li
0.295 2.893 10.817 P
1.659 6.038 1.828 P
1.344 5.206 8.008 P
2.516 0.105 7.815 P
4.368 9.215 4.731 P
-2.414 -0.285 7.915 P
-0.562 8.826 4.831 P
0.611 3.724 4.637 P
3.444 4.660 6.272 Fe
2.585 10.592 0.288 Fe
-0.315 -0.830 6.180 Fe
-1.489 4.270 6.372 Fe
```

Summary:
- Calculated volume: 635.2 Å³ per cell

=====

The data favor P; the next most stable structure lies 0.043 eV/atom above it.

=====

--- P ---
Material: Li2FePO5
Method: DFT, PBE+U
State: relaxed

POSCAR file:
```
Li2FePO5
1.0
-1.315 -4.193 -1.055
7.466 -3.332 3.937
-4.486 -0.605 7.995
O P Li Fe
20 4 8 4
Cartesian
3.013 -4.398 8.335 O
4.420 -4.210 5.736 O
1.607 -6.328 9.276 O
2.397 -5.296 4.619 O
-3.549 -4.027 6.557 O
1.321 -2.606 5.748 O
0.665 -3.968 9.026 O
-4.570 -1.292 7.572 O
-3.199 -3.772 2.875 O
-1.835 -5.818 9.013 O
-1.217 -4.428 5.792 O
1.086 -5.456 7.007 O
-0.736 -1.909 3.016 O
-0.548 -3.624 1.116 O
4.673 -5.954 3.870 O
1.521 -2.547 2.192 O
3.824 -3.575 3.407 O
-1.611 -2.952 7.826 O
-2.208 -2.068 5.581 O
0.120 -4.280 3.418 O
3.838 -4.759 4.411 P
-2.154 -3.368 6.432 P
1.601 -5.044 8.413 P
0.083 -3.084 2.430 P
-2.792 -2.036 3.571 Li
5.555 -2.517 2.945 Li
2.016 -6.954 5.902 Li
2.558 -1.851 4.041 Li
-0.983 -6.291 6.997 Li
-0.777 -2.461 -0.609 Li
-1.662 -5.312 3.962 Li
1.877 -0.876 1.005 Li
-3.562 -0.614 6.235 Fe
-2.547 -4.226 1.253 Fe
-1.328 -4.146 9.468 Fe
0.777 -4.283 5.360 Fe
```

Summary:
- Calculated volume: 376.8 Å³ per cell
- Largest piezoelectric modulus: 0.5 C/m2

=====

--- Q ---
Material: Li2FePO5
Method: DFT, PBE+U
State: relaxed

POSCAR file:
```
Li2FePO5
1.0
6.430 0.000 4.495
0.000 6.430 4.495
-6.430 0.000 4.495
P O Li Fe
4 20 8 4
Cartesian
3.215 3.215 8.990 P
0.000 6.430 8.990 P
6.430 0.000 4.495 P
-3.215 3.215 8.990 P
-3.215 1.968 8.067 O
0.000 5.183 9.913 O
3.215 1.968 8.067 O
3.215 4.462 8.067 O
1.968 3.215 5.418 O
-4.462 3.215 5.418 O
0.000 1.247 5.418 O
-1.968 3.215 5.418 O
1.247 6.430 12.562 O
-3.215 4.462 8.067 O
4.462 3.215 5.418 O
-1.247 0.000 3.572 O
3.215 6.430 10.484 O
0.000 3.215 3.001 O
-1.247 0.000 8.067 O
-3.215 0.000 5.989 O
0.000 1.247 0.923 O
0.000 5.183 5.418 O
1.247 6.430 8.067 O
0.000 3.215 7.496 O
4.822 1.607 6.742 Li
4.822 4.822 6.742 Li
-4.822 4.822 6.742 Li
1.607 1.607 6.742 Li
1.607 1.607 2.247 Li
-1.607 1.607 6.742 Li
1.607 4.822 6.742 Li
-1.607 4.822 6.742 Li
3.215 0.000 4.183 Fe
-3.215 0.000 4.183 Fe
0.000 3.215 4.807 Fe
0.000 3.215 9.302 Fe
```

Summary:
- Calculated volume: 371.7 Å³ per cell

=====

--- R ---
Material: Li2FePO5
Method: DFT, PBE+U
State: relaxed

POSCAR file:
```
Li2FePO5
1.0
5.608 0.000 0.000
0.000 4.886 0.000
0.000 4.751 15.861
O P Li Fe
20 4 8 4
Cartesian
0.866 2.958 1.393 O
5.209 5.741 6.266 O
5.451 5.289 15.610 O
0.427 2.969 5.160 O
3.301 7.668 12.664 O
2.415 5.188 8.272 O
5.181 5.345 13.090 O
5.110 5.206 3.171 O
3.695 2.914 6.165 O
2.918 3.008 2.892 O
2.293 0.884 1.738 O
2.691 5.383 10.823 O
0.399 8.116 14.197 O
3.315 3.259 9.668 O
0.498 7.581 11.101 O
1.914 5.290 14.096 O
0.158 2.914 7.679 O
2.307 5.292 4.734 O
3.193 2.813 0.341 O
4.743 5.333 9.323 O
0.475 4.827 14.299 P
3.309 4.829 9.458 P
5.133 2.452 6.369 P
2.299 2.454 1.527 P
0.486 4.891 1.480 Li
5.088 2.458 0.160 Li
3.231 4.776 12.786 Li
5.122 7.267 9.410 Li
2.372 7.221 14.450 Li
2.378 2.401 4.856 Li
3.236 4.845 6.520 Li
0.521 4.834 8.090 Li
5.151 7.249 12.652 Fe
0.457 4.874 4.722 Fe
3.277 4.894 3.126 Fe
2.331 7.270 11.056 Fe
```

Summary:
- Calculated volume: 434.6 Å³ per cell

=====

The data favor R; the next most stable structure lies 0.012 eV/atom above it.